The following is a GGA-PBE calculation of an optimized crystal structure of MgTa4Cu2O12, from Materials Project.

Computed properties:
Energy above the lowest structure with this stoichiometry = 0.0 meV/atom
ΔH_f (0 K) = -2.7673 eV per atom

abc: 5.087 4.931 8.921
angles: 90.00 90.00 90.10
Positions (direct):
O (0.819, 0.251, 0.179)
O (0.307, 0.256, 0.688)
O (0.837, 0.196, 0.504)
O (0.337, 0.311, 0.004)
O (0.819, 0.252, 0.828)
O (0.306, 0.256, 0.319)
O (0.181, 0.748, 0.828)
O (0.163, 0.804, 0.504)
O (0.694, 0.744, 0.319)
O (0.693, 0.744, 0.688)
O (0.181, 0.749, 0.179)
O (0.663, 0.689, 0.004)
Ta (0.000, 0.000, 0.333)
Ta (0.500, 0.500, 0.819)
Ta (0.000, 0.000, 0.675)
Ta (0.500, 0.500, 0.189)
Cu (0.000, 0.000, 0.999)
Cu (0.500, 0.500, 0.505)
Mg (0.000, 0.500, 0.006)